# 1
# KCeMg14 (GGA-PBE, relaxed)
# SG: P-6m2 (187)
# Crystal system: hexagonal
# Total magnetization (μB/f.u.): 1.4
# Formation energy from the elements (eV/atom): 0.1594
# Energy (eV/atom): -1.6811
data_KCeMg14
_symmetry_space_group_name_H-M 'P 1'
_symmetry_Int_Tables_number 1
_symmetry_space_group_name_Hall 'P 1'
_cell_length_a 7.1130
_cell_length_b 7.1130
_cell_length_c 10.8948
_cell_angle_alpha 90.00
_cell_angle_beta 90.00
_cell_angle_gamma 120.00
loop_
_atom_site_label
_atom_site_type_symbol
_atom_site_fract_x
_atom_site_fract_y
_atom_site_fract_z
_atom_site_occupancy
K1 K 0.0000 0.0000 0.0000 1
Ce1 Ce 0.0000 0.0000 0.5000 1
Mg1 Mg 0.0057 0.5029 0.0000 1
Mg2 Mg 0.0075 0.5037 0.5000 1
Mg3 Mg 0.4971 0.9943 0.0000 1
Mg4 Mg 0.4963 0.9925 0.5000 1
Mg5 Mg 0.4971 0.5029 0.0000 1
Mg6 Mg 0.4963 0.5037 0.5000 1
Mg7 Mg 0.1681 0.8319 0.2578 1
Mg8 Mg 0.1681 0.8319 0.7422 1
Mg9 Mg 0.1681 0.3362 0.2578 1
Mg10 Mg 0.1681 0.3362 0.7422 1
Mg11 Mg 0.6638 0.8319 0.2578 1
Mg12 Mg 0.6638 0.8319 0.7422 1
Mg13 Mg 0.6667 0.3333 0.2516 1
Mg14 Mg 0.6667 0.3333 0.7484 1

# 2
# KCeMg6O8 (GGA-PBE, relaxed)
# SG: P4/mmm (123)
# Crystal system: tetragonal
# Total magnetization (μB/f.u.): 0.7
# E above lowest polymorph (eV/atom): 0.092
# Formation energy from the elements (eV/atom): -2.6343
# Energy (eV/atom): -5.8051
data_KCeMg6O8
_symmetry_space_group_name_H-M 'P 1'
_symmetry_Int_Tables_number 1
_symmetry_space_group_name_Hall 'P 1'
_cell_length_a 9.1756
_cell_length_b 4.6290
_cell_length_c 4.6290
_cell_angle_alpha 90.00
_cell_angle_beta 90.00
_cell_angle_gamma 90.00
loop_
_atom_site_label
_atom_site_type_symbol
_atom_site_fract_x
_atom_site_fract_y
_atom_site_fract_z
_atom_site_occupancy
K1 K 0.0000 0.0000 0.0000 1
Ce1 Ce 0.5000 0.0000 0.0000 1
Mg1 Mg 0.0000 0.5000 0.5000 1
Mg2 Mg 0.5000 0.5000 0.5000 1
Mg3 Mg 0.2255 0.0000 0.5000 1
Mg4 Mg 0.7745 0.0000 0.5000 1
Mg5 Mg 0.2255 0.5000 0.0000 1
Mg6 Mg 0.7745 0.5000 0.0000 1
O1 O 0.2598 0.0000 0.0000 1
O2 O 0.7402 0.0000 0.0000 1
O3 O 0.2472 0.5000 0.5000 1
O4 O 0.7528 0.5000 0.5000 1
O5 O 0.0000 0.0000 0.5000 1
O6 O 0.5000 0.0000 0.5000 1
O7 O 0.0000 0.5000 0.0000 1
O8 O 0.5000 0.5000 0.0000 1

# 3
# KCeMg6O8 (GGA-PBE, relaxed)
# SG: P4/mmm (123)
# Crystal system: tetragonal
# Total magnetization (μB/f.u.): 0.9
# E above lowest polymorph (eV/atom): 0.000
# Formation energy from the elements (eV/atom): -2.7258
# Energy (eV/atom): -5.8966
data_KCeMg6O8
_symmetry_space_group_name_H-M 'P 1'
_symmetry_Int_Tables_number 1
_symmetry_space_group_name_Hall 'P 1'
_cell_length_a 9.1052
_cell_length_b 4.6065
_cell_length_c 4.6065
_cell_angle_alpha 90.00
_cell_angle_beta 90.00
_cell_angle_gamma 90.00
loop_
_atom_site_label
_atom_site_type_symbol
_atom_site_fract_x
_atom_site_fract_y
_atom_site_fract_z
_atom_site_occupancy
K1 K 0.0000 0.0000 0.0000 1
Ce1 Ce 0.0000 0.5000 0.5000 1
Mg1 Mg 0.5000 0.0000 0.0000 1
Mg2 Mg 0.5000 0.5000 0.5000 1
Mg3 Mg 0.2749 0.0000 0.5000 1
Mg4 Mg 0.7251 0.0000 0.5000 1
Mg5 Mg 0.2749 0.5000 0.0000 1
Mg6 Mg 0.7251 0.5000 0.0000 1
O1 O 0.2805 0.0000 0.0000 1
O2 O 0.7195 0.0000 0.0000 1
O3 O 0.2688 0.5000 0.5000 1
O4 O 0.7312 0.5000 0.5000 1
O5 O 0.0000 0.0000 0.5000 1
O6 O 0.5000 0.0000 0.5000 1
O7 O 0.0000 0.5000 0.0000 1
O8 O 0.5000 0.5000 0.0000 1

# 4
# KCeNb4O12 (GGA-PBE, relaxed)
# SG: Amm2 (38)
# Crystal system: orthorhombic
# Total magnetization (μB/f.u.): 1.0
# Formation energy from the elements (eV/atom): -3.0752
# Energy (eV/atom): -8.5518
data_KCeNb4O12
_symmetry_space_group_name_H-M 'P 1'
_symmetry_Int_Tables_number 1
_symmetry_space_group_name_Hall 'P 1'
_cell_length_a 5.6323
_cell_length_b 5.6323
_cell_length_c 7.9663
_cell_angle_alpha 90.00
_cell_angle_beta 90.00
_cell_angle_gamma 90.92
loop_
_atom_site_label
_atom_site_type_symbol
_atom_site_fract_x
_atom_site_fract_y
_atom_site_fract_z
_atom_site_occupancy
K1 K 0.0029 0.9971 0.5000 1
Ce1 Ce 0.4935 0.5065 0.0000 1
Nb1 Nb 0.4965 0.0076 0.2512 1
Nb2 Nb 0.4965 0.0076 0.7488 1
Nb3 Nb 0.9924 0.5035 0.7488 1
Nb4 Nb 0.9924 0.5035 0.2512 1
O1 O 0.2837 0.2832 0.2318 1
O2 O 0.7168 0.7163 0.2318 1
O3 O 0.7168 0.7163 0.7682 1
O4 O 0.2837 0.2832 0.7682 1
O5 O 0.2400 0.7600 0.2046 1
O6 O 0.7764 0.2236 0.2692 1
O7 O 0.7764 0.2236 0.7308 1
O8 O 0.2400 0.7600 0.7954 1
O9 O 0.5356 0.0474 0.0000 1
O10 O 0.4765 0.9811 0.5000 1
O11 O 0.9526 0.4644 0.0000 1
O12 O 0.0189 0.5235 0.5000 1

# 5
# KCeP4O12 (GGA-PBE, relaxed)
# SG: P2_1/c (14)
# Crystal system: monoclinic
# Total magnetization (μB/f.u.): 1.0
# E above lowest polymorph (eV/atom): 0.000
# Formation energy from the elements (eV/atom): -2.8964
# Energy (eV/atom): -7.3313
data_KCeP4O12
_symmetry_space_group_name_H-M 'P 1'
_symmetry_Int_Tables_number 1
_symmetry_space_group_name_Hall 'P 1'
_cell_length_a 13.5080
_cell_length_b 7.5233
_cell_length_c 12.7232
_cell_angle_alpha 53.79
_cell_angle_beta 90.00
_cell_angle_gamma 90.00
loop_
_atom_site_label
_atom_site_type_symbol
_atom_site_fract_x
_atom_site_fract_y
_atom_site_fract_z
_atom_site_occupancy
K1 K 0.7748 0.9349 0.0674 1
K2 K 0.2748 0.0651 0.4326 1
K3 K 0.2252 0.0651 0.9326 1
K4 K 0.7252 0.9349 0.5674 1
Ce1 Ce 0.2204 0.4692 0.0223 1
Ce2 Ce 0.7204 0.5308 0.4777 1
Ce3 Ce 0.7796 0.5308 0.9777 1
Ce4 Ce 0.2796 0.4692 0.5223 1
P1 P 0.4013 0.9879 0.2471 1
P2 P 0.9013 0.0121 0.2529 1
P3 P 0.5987 0.0121 0.7529 1
P4 P 0.0987 0.9879 0.7471 1
P5 P 0.1127 0.8960 0.2412 1
P6 P 0.6127 0.1040 0.2588 1
P7 P 0.8873 0.1040 0.7588 1
P8 P 0.3873 0.8960 0.7412 1
P9 P 0.3764 0.6456 0.2014 1
P10 P 0.8764 0.3544 0.2986 1
P11 P 0.6236 0.3544 0.7986 1
P12 P 0.1236 0.6456 0.7014 1
P13 P 0.5911 0.5423 0.2048 1
P14 P 0.0911 0.4577 0.2952 1
P15 P 0.4089 0.4577 0.7952 1
P16 P 0.9089 0.5423 0.7048 1
O1 O 0.2981 0.6554 0.1144 1
O2 O 0.7981 0.3446 0.3856 1
O3 O 0.7019 0.3446 0.8856 1
O4 O 0.2019 0.6554 0.6144 1
O5 O 0.0806 0.7242 0.2095 1
O6 O 0.5806 0.2758 0.2905 1
O7 O 0.9194 0.2758 0.7905 1
O8 O 0.4194 0.7242 0.7095 1
O9 O 0.6863 0.2075 0.1496 1
O10 O 0.1863 0.7925 0.3504 1
O11 O 0.3137 0.7925 0.8504 1
O12 O 0.8137 0.2075 0.6496 1
O13 O 0.1413 0.1052 0.1130 1
O14 O 0.6413 0.8948 0.3870 1
O15 O 0.8587 0.8948 0.8870 1
O16 O 0.3587 0.1052 0.6130 1
O17 O 0.3815 0.8930 0.1633 1
O18 O 0.8815 0.1070 0.3367 1
O19 O 0.6185 0.1070 0.8367 1
O20 O 0.1185 0.8930 0.6633 1
O21 O 0.3377 0.1894 0.1915 1
O22 O 0.8377 0.8106 0.3085 1
O23 O 0.6623 0.8106 0.8085 1
O24 O 0.1623 0.1894 0.6915 1
O25 O 0.4803 0.6231 0.1484 1
O26 O 0.9803 0.3769 0.3516 1
O27 O 0.5197 0.3769 0.8516 1
O28 O 0.0197 0.6231 0.6484 1
O29 O 0.5137 0.0711 0.2027 1
O30 O 0.0137 0.9289 0.2973 1
O31 O 0.4863 0.9289 0.7973 1
O32 O 0.9863 0.0711 0.7027 1
O33 O 0.6561 0.6274 0.0886 1
O34 O 0.1561 0.3726 0.4114 1
O35 O 0.3439 0.3726 0.9114 1
O36 O 0.8439 0.6274 0.5886 1
O37 O 0.8938 0.1905 0.1088 1
O38 O 0.3938 0.8095 0.3912 1
O39 O 0.1062 0.8095 0.8912 1
O40 O 0.6062 0.1905 0.6088 1
O41 O 0.8672 0.5212 0.1538 1
O42 O 0.3672 0.4788 0.3462 1
O43 O 0.1328 0.4788 0.8462 1
O44 O 0.6328 0.5212 0.6538 1
O45 O 0.1158 0.3977 0.2046 1
O46 O 0.6158 0.6023 0.2954 1
O47 O 0.8842 0.6023 0.7954 1
O48 O 0.3842 0.3977 0.7046 1

# 6
# K2CeP2O8 (GGA-PBE, relaxed)
# SG: I4_1/amd (141)
# Crystal system: tetragonal
# Total magnetization (μB/f.u.): 0.0
# E above lowest polymorph (eV/atom): 0.003
# Formation energy from the elements (eV/atom): -3.0154
# Energy (eV/atom): -7.0976
data_K2CeP2O8
_symmetry_space_group_name_H-M 'P 1'
_symmetry_Int_Tables_number 1
_symmetry_space_group_name_Hall 'P 1'
_cell_length_a 10.1695
_cell_length_b 10.1695
_cell_length_c 10.1695
_cell_angle_alpha 140.17
_cell_angle_beta 140.17
_cell_angle_gamma 57.59
loop_
_atom_site_label
_atom_site_type_symbol
_atom_site_fract_x
_atom_site_fract_y
_atom_site_fract_z
_atom_site_occupancy
K1 K 0.3750 0.1250 0.2500 1
K2 K 0.8750 0.6250 0.7500 1
K3 K 0.8750 0.1250 0.7500 1
K4 K 0.8750 0.1250 0.2500 1
Ce1 Ce 0.2500 0.7500 0.5000 1
Ce2 Ce 0.5000 0.5000 0.0000 1
P1 P 0.6772 0.6772 0.0000 1
P2 P 0.0728 0.5728 0.5000 1
P3 P 0.3228 0.3228 0.0000 1
P4 P 0.4272 0.9272 0.5000 1
O1 O 0.4804 0.1583 0.6778 1
O2 O 0.5542 0.3747 0.1795 1
O3 O 0.4804 0.8026 0.3222 1
O4 O 0.1952 0.3747 0.8205 1
O5 O 0.2696 0.0917 0.8222 1
O6 O 0.8417 0.5196 0.3222 1
O7 O 0.1958 0.8753 0.3205 1
O8 O 0.2696 0.4474 0.1778 1
O9 O 0.1247 0.4452 0.3205 1
O10 O 0.9083 0.7304 0.1778 1
O11 O 0.1974 0.5196 0.6778 1
O12 O 0.5526 0.7304 0.8222 1
O13 O 0.5548 0.8753 0.6795 1
O14 O 0.6253 0.4458 0.8205 1
O15 O 0.1247 0.8042 0.6795 1
O16 O 0.6253 0.8048 0.1795 1

# 7
# K2CeP2O8 (GGA-PBE, relaxed)
# SG: P2_1/c (14)
# Crystal system: monoclinic
# Total magnetization (μB/f.u.): 0.0
# E above lowest polymorph (eV/atom): 0.000
# Formation energy from the elements (eV/atom): -3.0187
# Energy (eV/atom): -7.1009
data_K2CeP2O8
_symmetry_space_group_name_H-M 'P 1'
_symmetry_Int_Tables_number 1
_symmetry_space_group_name_Hall 'P 1'
_cell_length_a 11.0339
_cell_length_b 7.8312
_cell_length_c 9.7309
_cell_angle_alpha 62.30
_cell_angle_beta 90.00
_cell_angle_gamma 90.00
loop_
_atom_site_label
_atom_site_type_symbol
_atom_site_fract_x
_atom_site_fract_y
_atom_site_fract_z
_atom_site_occupancy
K1 K 0.3710 0.1492 0.9562 1
K2 K 0.1290 0.1492 0.4562 1
K3 K 0.6290 0.8508 0.0438 1
K4 K 0.8710 0.8508 0.5438 1
K5 K 0.3860 0.3357 0.5406 1
K6 K 0.1140 0.3357 0.0406 1
K7 K 0.6140 0.6643 0.4594 1
K8 K 0.8860 0.6643 0.9594 1
Ce1 Ce 0.3605 0.7451 0.7804 1
Ce2 Ce 0.1395 0.7451 0.2804 1
Ce3 Ce 0.6395 0.2549 0.2196 1
Ce4 Ce 0.8605 0.2549 0.7196 1
P1 P 0.3595 0.9359 0.3532 1
P2 P 0.1405 0.9359 0.8532 1
P3 P 0.6405 0.0641 0.6468 1
P4 P 0.8595 0.0641 0.1468 1
P5 P 0.6310 0.4648 0.8643 1
P6 P 0.8690 0.4648 0.3643 1
P7 P 0.3690 0.5352 0.1357 1
P8 P 0.1310 0.5352 0.6357 1
O1 O 0.2435 0.0334 0.2557 1
O2 O 0.2565 0.0334 0.7557 1
O3 O 0.7565 0.9666 0.7443 1
O4 O 0.7435 0.9666 0.2443 1
O5 O 0.3539 0.9391 0.5122 1
O6 O 0.1461 0.9391 0.0122 1
O7 O 0.6461 0.0609 0.4878 1
O8 O 0.8539 0.0609 0.9878 1
O9 O 0.4761 0.0361 0.2630 1
O10 O 0.0239 0.0361 0.7630 1
O11 O 0.5239 0.9639 0.7370 1
O12 O 0.9761 0.9639 0.2370 1
O13 O 0.3535 0.7268 0.3761 1
O14 O 0.1465 0.7268 0.8761 1
O15 O 0.6465 0.2732 0.6239 1
O16 O 0.8535 0.2732 0.1239 1
O17 O 0.6493 0.5473 0.9812 1
O18 O 0.8507 0.5473 0.4812 1
O19 O 0.3507 0.4527 0.0188 1
O20 O 0.1493 0.4527 0.5188 1
O21 O 0.7476 0.4891 0.7681 1
O22 O 0.7524 0.4891 0.2681 1
O23 O 0.2524 0.5109 0.2319 1
O24 O 0.2476 0.5109 0.7319 1
O25 O 0.5230 0.5687 0.7527 1
O26 O 0.9770 0.5687 0.2527 1
O27 O 0.4770 0.4313 0.2473 1
O28 O 0.0230 0.4313 0.7473 1
O29 O 0.6019 0.2488 0.9736 1
O30 O 0.8981 0.2488 0.4736 1
O31 O 0.3981 0.7512 0.0264 1
O32 O 0.1019 0.7512 0.5264 1

# 8
# KCeP4O12 (GGA-PBE, relaxed)
# SG: P2_1 (4)
# Crystal system: monoclinic
# Total magnetization (μB/f.u.): 1.0
# E above lowest polymorph (eV/atom): 0.006
# Formation energy from the elements (eV/atom): -2.8906
# Energy (eV/atom): -7.3255
data_KCeP4O12
_symmetry_space_group_name_H-M 'P 1'
_symmetry_Int_Tables_number 1
_symmetry_space_group_name_Hall 'P 1'
_cell_length_a 8.4754
_cell_length_b 7.2602
_cell_length_c 8.1976
_cell_angle_alpha 87.73
_cell_angle_beta 90.00
_cell_angle_gamma 90.00
loop_
_atom_site_label
_atom_site_type_symbol
_atom_site_fract_x
_atom_site_fract_y
_atom_site_fract_z
_atom_site_occupancy
K1 K 0.7506 0.7951 0.7754 1
K2 K 0.2506 0.2049 0.2246 1
Ce1 Ce 0.4983 0.2696 0.7475 1
Ce2 Ce 0.9983 0.7304 0.2525 1
P1 P 0.1246 0.0514 0.6026 1
P2 P 0.6246 0.9486 0.3974 1
P3 P 0.7633 0.1345 0.1047 1
P4 P 0.2633 0.8655 0.8953 1
P5 P 0.6361 0.5049 0.1250 1
P6 P 0.1361 0.4951 0.8750 1
P7 P 0.9224 0.3890 0.5983 1
P8 P 0.4224 0.6110 0.4017 1
O1 O 0.7103 0.1220 0.9305 1
O2 O 0.2103 0.8780 0.0695 1
O3 O 0.0545 0.5014 0.6970 1
O4 O 0.5545 0.4986 0.3030 1
O5 O 0.6200 0.0562 0.2212 1
O6 O 0.1200 0.9438 0.7788 1
O7 O 0.7223 0.6845 0.0985 1
O8 O 0.2223 0.3155 0.9015 1
O9 O 0.5961 0.0854 0.5275 1
O10 O 0.0961 0.9146 0.4725 1
O11 O 0.2662 0.1746 0.5798 1
O12 O 0.7662 0.8254 0.4202 1
O13 O 0.5196 0.4419 0.0005 1
O14 O 0.0196 0.5581 0.9995 1
O15 O 0.7683 0.3467 0.1545 1
O16 O 0.2683 0.6533 0.8455 1
O17 O 0.4475 0.5499 0.5769 1
O18 O 0.9475 0.4501 0.4231 1
O19 O 0.4170 0.9528 0.8439 1
O20 O 0.9170 0.0472 0.1561 1
O21 O 0.9659 0.1725 0.6253 1
O22 O 0.4659 0.8275 0.3747 1
O23 O 0.7642 0.4166 0.6770 1
O24 O 0.2642 0.5834 0.3230 1

The lowest formation energy from the elements belongs to which entry?
KCeNb4O12